This record from the Materials Project database describes crystalline Rb3TmCl6 at its relaxed geometry. The functional is PBE.

Computed properties:
DFT total energy: -3.9899 eV/atom
Mass density: 3.20 Mg/m³
Energy of formation: -241.9 kJ per mole of atoms

Cell: 13.6198 13.6198 12.9185 Å, 80.80 80.80 34.05°
Element x y z (fractional)
Rb: 0.3025 0.7968 0.5668
Rb: 0.4663 0.8415 0.8558
Rb: 0.6508 0.0253 0.7997
Rb: 0.2032 0.6975 0.9332
Rb: 0.6975 0.2032 0.4332
Rb: 0.8415 0.4663 0.3558
Rb: 0.7968 0.3025 0.0668
Rb: 0.1585 0.5337 0.6442
Rb: 0.0253 0.6508 0.2997
Rb: 0.3492 0.9747 0.2003
Rb: 0.5337 0.1585 0.1442
Rb: 0.9747 0.3492 0.7003
Cl: 0.0333 0.0834 0.3041
Cl: 0.3853 0.4982 0.1801
Cl: 0.7253 0.6218 0.0806
Cl: 0.6385 0.8608 0.3156
Cl: 0.2747 0.3782 0.9194
Cl: 0.8635 0.7808 0.0345
Cl: 0.2192 0.1365 0.4655
Cl: 0.9166 0.9667 0.1959
Cl: 0.6147 0.5018 0.8199
Cl: 0.5018 0.6147 0.3199
Cl: 0.4982 0.3853 0.6801
Cl: 0.1671 0.7180 0.4330
Cl: 0.1365 0.2192 0.9655
Cl: 0.8329 0.2820 0.5670
Cl: 0.3782 0.2747 0.4194
Cl: 0.7180 0.1671 0.9330
Cl: 0.8608 0.6385 0.8156
Cl: 0.9667 0.9166 0.6959
Cl: 0.3615 0.1392 0.6844
Cl: 0.2820 0.8329 0.0670
Cl: 0.6218 0.7253 0.5806
Cl: 0.0834 0.0333 0.8041
Cl: 0.1392 0.3615 0.1844
Cl: 0.7808 0.8635 0.5345
Tm: 0.2162 0.7838 0.2500
Tm: 0.0000 0.5000 0.0000
Tm: 0.7838 0.2162 0.7500
Tm: 0.5000 0.0000 0.5000